1.
First-principles (PBE) data for Sr2Cu3Br2O4 after structural relaxation, as listed in the Materials Project.

Cell and atoms, written as CIF:
```
data_Sr2Cu3Br2O4
_space_group_name_H-M_alt 'P 1'
_space_group_IT_number 1
_cell_length_a 7.8828
_cell_length_b 7.8828
_cell_length_c 7.8828
_cell_angle_alpha 139.02
_cell_angle_beta 139.02
_cell_angle_gamma 59.35
loop_
_space_group_symop_operation_xyz
'x,y,z'
loop_
_atom_site_label
_atom_site_type_symbol
_atom_site_fract_x
_atom_site_fract_y
_atom_site_fract_z
Sr1 Sr 0.1306 0.1306 0.0000
Sr2 Sr 0.8694 0.8694 0.0000
Cu1 Cu 0.0000 0.5000 0.5000
Cu2 Cu 0.5000 0.0000 0.5000
Cu3 Cu 0.5000 0.5000 0.0000
Br1 Br 0.2500 0.7500 0.5000
Br2 Br 0.7500 0.2500 0.5000
O1 O 0.2502 0.2502 0.5003
O2 O 0.2502 0.7498 0.0000
O3 O 0.7498 0.2502 0.0000
O4 O 0.7498 0.7498 0.4997
```

Summary:
* raw total energy: -4.967 eV per atom
* energy relative to the elements: -1.69 eV/atom

***

2.
First-principles (PBE) data for Na7Sc2Ga2SiP5O24 after structural relaxation, as listed in the Materials Project.

Cell and atoms, written as CIF:
```
data_Na7Sc2Ga2SiP5O24
_space_group_name_H-M_alt 'P 1'
_space_group_IT_number 1
_cell_length_a 8.9321
_cell_length_b 8.9424
_cell_length_c 22.2439
_cell_angle_alpha 89.64
_cell_angle_beta 89.78
_cell_angle_gamma 60.06
loop_
_space_group_symop_operation_xyz
'x,y,z'
loop_
_atom_site_label
_atom_site_type_symbol
_atom_site_fract_x
_atom_site_fract_y
_atom_site_fract_z
Na1 Na 0.0000 0.0000 0.0000
Na2 Na 0.0002 0.3578 0.2519
Na3 Na 0.0311 0.6650 0.8337
Na4 Na 0.2965 0.0317 0.8350
Na5 Na 0.2975 0.3981 0.3336
Na6 Na 0.3265 0.7040 0.4183
Na7 Na 0.3311 0.0657 0.1678
Na8 Na 0.3370 0.6941 0.9165
Na9 Na 0.3631 0.3608 0.0022
Na10 Na 0.3640 0.9974 0.5014
Na11 Na 0.6295 0.7323 0.0003
Na12 Na 0.6320 0.3671 0.5011
Na13 Na 0.6574 0.0348 0.5855
Na14 Na 0.6590 0.0344 0.0846
Na15 Na 0.6646 0.6636 0.3359
Na16 Na 0.6918 0.3325 0.1680
Na17 Na 0.6976 0.6968 0.6676
Na18 Na 0.9630 0.0635 0.6688
Na19 Na 0.9685 0.6948 0.1693
Na20 Na 0.9941 0.7294 0.5018
Na21 Na 0.9971 0.3642 0.7513
Sc1 Sc 0.9996 0.3692 0.6027
Sc2 Sc 0.0058 0.3608 0.1009
Sc3 Sc 0.3234 0.7001 0.2703
Sc4 Sc 0.3314 0.6960 0.0684
Sc5 Sc 0.9923 0.3618 0.4006
Sc6 Sc 0.9941 0.3597 0.8985
Ga1 Ga 0.3373 0.6894 0.7678
Ga2 Ga 0.3369 0.6948 0.5696
Ga3 Ga 0.6574 0.0342 0.9328
Ga4 Ga 0.6569 0.0390 0.7349
Ga5 Ga 0.6604 0.0368 0.2354
Ga6 Ga 0.6657 0.0253 0.4342
Si1 Si 0.2991 0.0663 0.9991
Si2 Si 0.3348 0.3966 0.1699
Si3 Si 0.6961 0.6651 0.5014
P1 P 0.0317 0.9920 0.1689
P2 P 0.0427 0.6990 0.6695
P3 P 0.2941 0.3645 0.5006
P4 P 0.3338 0.9856 0.6700
P5 P 0.3753 0.0315 0.3348
P6 P 0.3786 0.3236 0.8334
P7 P 0.6158 0.4051 0.6692
P8 P 0.6257 0.7004 0.1696
P9 P 0.6598 0.7435 0.8326
P10 P 0.6672 0.3149 0.3349
P11 P 0.7032 0.3607 0.0007
P12 P 0.9501 0.7467 0.3345
P13 P 0.9515 0.0288 0.8331
P14 P 0.9929 0.6628 0.9994
P15 P 0.9973 0.0669 0.5023
O1 O 0.0097 0.1744 0.1630
O2 O 0.0172 0.5408 0.6647
O3 O 0.0273 0.5462 0.9443
O4 O 0.0363 0.1478 0.4480
O5 O 0.1093 0.8812 0.1118
O6 O 0.1234 0.7333 0.6121
O7 O 0.1343 0.7209 0.3313
O8 O 0.1359 0.8635 0.8283
O9 O 0.1536 0.6716 0.7261
O10 O 0.1539 0.9094 0.2223
O11 O 0.1574 0.6782 0.0058
O12 O 0.1591 0.3826 0.1651
O13 O 0.1597 0.8836 0.5092
O14 O 0.1682 0.1627 0.6637
O15 O 0.1722 0.1537 0.9416
O16 O 0.1806 0.3998 0.4442
O17 O 0.1953 0.3427 0.8385
O18 O 0.1980 0.1969 0.3397
O19 O 0.2128 0.3253 0.5549
O20 O 0.2165 0.1866 0.0588
O21 O 0.2957 0.5222 0.2276
O22 O 0.2987 0.9019 0.7259
O23 O 0.3079 0.5308 0.5086
O24 O 0.3156 0.8765 0.0053
O25 O 0.3515 0.5094 0.8271
O26 O 0.3639 0.8652 0.3302
O27 O 0.3675 0.8723 0.6126
O28 O 0.3725 0.4790 0.1100
O29 O 0.4577 0.0629 0.2779
O30 O 0.4603 0.2009 0.7795
O31 O 0.4775 0.2022 0.4940
O32 O 0.4853 0.2444 0.8916
O33 O 0.4897 0.9990 0.3916
O34 O 0.4908 0.0504 0.9930
O35 O 0.4925 0.7307 0.8268
O36 O 0.5016 0.9979 0.6758
O37 O 0.5028 0.4981 0.3310
O38 O 0.5040 0.6812 0.5091
O39 O 0.5086 0.4845 0.6109
O40 O 0.5096 0.2046 0.1758
O41 O 0.5121 0.7361 0.1131
O42 O 0.5217 0.5232 0.0056
O43 O 0.5340 0.5275 0.7230
O44 O 0.5427 0.6672 0.2252
O45 O 0.6269 0.8560 0.8900
O46 O 0.6318 0.2338 0.3917
O47 O 0.6427 0.2193 0.6756
O48 O 0.6457 0.8629 0.1756
O49 O 0.6800 0.8569 0.4941
O50 O 0.6891 0.1949 0.9934
O51 O 0.6931 0.2074 0.2778
O52 O 0.6952 0.8270 0.7767
O53 O 0.7799 0.5407 0.4429
O54 O 0.7868 0.3986 0.9468
O55 O 0.7989 0.3864 0.6637
O56 O 0.8044 0.5359 0.1631
O57 O 0.8131 0.3278 0.0579
O58 O 0.8213 0.5803 0.5598
O59 O 0.8251 0.3409 0.3385
O60 O 0.8257 0.5661 0.8386
O61 O 0.8308 0.0530 0.4944
O62 O 0.8307 0.8454 0.9931
O63 O 0.8350 0.8274 0.2779
O64 O 0.8404 0.0566 0.7765
O65 O 0.8521 0.0055 0.1759
O66 O 0.8583 0.8647 0.6743
O67 O 0.8682 0.8551 0.3918
O68 O 0.8711 0.9950 0.8905
O69 O 0.9567 0.5855 0.0563
O70 O 0.9619 0.1808 0.5586
O71 O 0.9694 0.5635 0.3388
O72 O 0.9770 0.1872 0.8375
```

Summary:
* raw total energy: -6.773 eV per atom
* energy relative to the elements: -2.80 eV/atom

***

3.
First-principles (PBE) data for TiMnN2 after structural relaxation, as listed in the Materials Project.

Cell and atoms, written as CIF:
```
data_TiMnN2
_space_group_name_H-M_alt 'P 1'
_space_group_IT_number 1
_cell_length_a 2.9209
_cell_length_b 2.9209
_cell_length_c 5.0555
_cell_angle_alpha 90.19
_cell_angle_beta 90.19
_cell_angle_gamma 59.95
loop_
_space_group_symop_operation_xyz
'x,y,z'
loop_
_atom_site_label
_atom_site_type_symbol
_atom_site_fract_x
_atom_site_fract_y
_atom_site_fract_z
Ti1 Ti 0.0000 0.0000 0.0000
Mn1 Mn 0.9960 0.9960 0.5003
N1 N 0.3318 0.3318 0.2589
N2 N 0.6630 0.6630 0.7406
```

Summary:
* raw total energy: -9.280 eV per atom
* energy relative to the elements: -1.03 eV/atom

***

4.
First-principles (PBE) data for LaU3 after structural relaxation, as listed in the Materials Project.

Cell and atoms, written as CIF:
```
data_LaU3
_space_group_name_H-M_alt 'P 1'
_space_group_IT_number 1
_cell_length_a 4.5460
_cell_length_b 4.5460
_cell_length_c 4.5460
_cell_angle_alpha 90.00
_cell_angle_beta 90.00
_cell_angle_gamma 90.00
loop_
_space_group_symop_operation_xyz
'x,y,z'
loop_
_atom_site_label
_atom_site_type_symbol
_atom_site_fract_x
_atom_site_fract_y
_atom_site_fract_z
La1 La 0.0000 0.0000 0.0000
U1 U 0.0000 0.5000 0.5000
U2 U 0.5000 0.0000 0.5000
U3 U 0.5000 0.5000 0.0000
```

Summary:
* raw total energy: -9.132 eV per atom
* energy relative to the elements: 0.57 eV/atom

***

5.
First-principles (PBE) data for SnAs after structural relaxation, as listed in the Materials Project.

Cell and atoms, written as CIF:
```
data_SnAs
_space_group_name_H-M_alt 'P 1'
_space_group_IT_number 1
_cell_length_a 4.1078
_cell_length_b 4.1078
_cell_length_c 4.1078
_cell_angle_alpha 60.00
_cell_angle_beta 60.00
_cell_angle_gamma 60.00
loop_
_space_group_symop_operation_xyz
'x,y,z'
loop_
_atom_site_label
_atom_site_type_symbol
_atom_site_fract_x
_atom_site_fract_y
_atom_site_fract_z
Sn1 Sn 0.0000 0.0000 0.0000
As1 As 0.5000 0.5000 0.5000
```

Summary:
* raw total energy: -4.384 eV per atom
* energy relative to the elements: -0.05 eV/atom

***

6.
First-principles (PBE) data for Ti3P4NO18 after structural relaxation, as listed in the Materials Project.

Cell and atoms, written as CIF:
```
data_Ti3P4NO18
_space_group_name_H-M_alt 'P 1'
_space_group_IT_number 1
_cell_length_a 5.2240
_cell_length_b 8.3450
_cell_length_c 8.9026
_cell_angle_alpha 109.11
_cell_angle_beta 92.23
_cell_angle_gamma 91.91
loop_
_space_group_symop_operation_xyz
'x,y,z'
loop_
_atom_site_label
_atom_site_type_symbol
_atom_site_fract_x
_atom_site_fract_y
_atom_site_fract_z
Ti1 Ti 0.0000 0.0000 0.0000
Ti2 Ti 0.2635 0.7301 0.4282
Ti3 Ti 0.7365 0.2699 0.5718
P1 P 0.2075 0.3190 0.3422
P2 P 0.2518 0.1252 0.7045
P3 P 0.7482 0.8748 0.2955
P4 P 0.7925 0.6810 0.6578
N1 N 0.0000 0.5000 0.0000
O1 O 0.0405 0.2459 0.6914
O2 O 0.0515 0.6751 0.5822
O3 O 0.1876 0.1729 0.1770
O4 O 0.1967 0.0743 0.8544
O5 O 0.2154 0.8013 0.9723
O6 O 0.2454 0.9668 0.5560
O7 O 0.2704 0.4872 0.3123
O8 O 0.4240 0.2780 0.4419
O9 O 0.4825 0.7820 0.2724
O10 O 0.5175 0.2180 0.7276
O11 O 0.5760 0.7220 0.5581
O12 O 0.7296 0.5128 0.6877
O13 O 0.7546 0.0332 0.4440
O14 O 0.7846 0.1987 0.0277
O15 O 0.8033 0.9257 0.1456
O16 O 0.8124 0.8271 0.8230
O17 O 0.9485 0.3249 0.4178
O18 O 0.9595 0.7541 0.3086
```

Summary:
* raw total energy: -7.325 eV per atom
* energy relative to the elements: -2.31 eV/atom